PrTmMg2: relaxed, PBE.

a = 5.4170 Å, b = 5.4170 Å, c = 5.4170 Å
α = 60.00°, β = 60.00°, γ = 60.00°
Atoms (fractional coordinates):
1 Pr 0.5000 0.5000 0.5000
2 Tm 0.0000 0.0000 0.0000
3 Mg 0.2500 0.2500 0.2500
4 Mg 0.7500 0.7500 0.7500

Output
Density   5.3 Mg/m³
V   28.100 Å³ per atom
Formation energy from the elements   -8 kJ/mol of atoms